1.
# Nb3Fe8Si

An optimized crystal structure of Nb3Fe8Si (PBE, Materials Project). Values from VASP.

Cell and atoms, written as Quantum ESPRESSO input:
```
&SYSTEM
  ibrav = 0, nat = 12, ntyp = 3
/
ATOMIC_SPECIES
Fe 55.84 Fe.upf
Nb 92.91 Nb.upf
Si 28.09 Si.upf
ATOMIC_POSITIONS crystal
Fe 0.0000 0.0000 0.0090
Fe 0.1684 0.3367 0.7500
Fe 0.8302 0.1698 0.2529
Fe 0.3395 0.1698 0.2528
Fe 0.8302 0.6605 0.2528
Fe 0.0001 0.9999 0.5020
Fe 0.6633 0.8316 0.7500
Fe 0.1684 0.8316 0.7500
Nb 0.3333 0.6667 0.0681
Nb 0.6666 0.3334 0.9158
Nb 0.3333 0.6667 0.4450
Si 0.6667 0.3333 0.5516
CELL_PARAMETERS angstrom
1.7716 4.4394 0.1887
1.4136 -3.2764 3.1858
5.7904 -2.1094 -4.7386
```

The formation energy from the elements comes out at -0.126 eV/atom. The calculation puts the volume at 154 Å³ per cell.

=====

2.
# Ho2Ga9Ir3

An optimized crystal structure of Ho2Ga9Ir3 (PBE, Materials Project). Values from VASP.

Cell and atoms, written as Quantum ESPRESSO input:
```
&SYSTEM
  ibrav = 0, nat = 28, ntyp = 3
/
ATOMIC_SPECIES
Ho 164.93 Ho.upf
Ga 69.72 Ga.upf
Ir 192.22 Ir.upf
ATOMIC_POSITIONS crystal
Ho 0.9971 0.6679 0.2500
Ho 0.0029 0.3321 0.7500
Ho 0.3321 0.0029 0.7500
Ho 0.6679 0.9971 0.2500
Ga 0.4536 0.6615 0.7500
Ga 0.0007 0.6662 0.5794
Ga 0.3329 0.3329 0.9364
Ga 0.5464 0.3385 0.2500
Ga 0.6615 0.4536 0.7500
Ga 0.6671 0.6671 0.0636
Ga 0.3329 0.3329 0.5636
Ga 0.3385 0.5464 0.2500
Ga 0.6671 0.6671 0.4364
Ga 0.6662 0.0007 0.9206
Ga 0.1262 0.1262 0.2500
Ga 0.9993 0.3338 0.0794
Ga 0.9993 0.3338 0.4206
Ga 0.3338 0.9993 0.4206
Ga 0.8738 0.8738 0.7500
Ga 0.0007 0.6662 0.9206
Ga 0.6662 0.0007 0.5794
Ga 0.3338 0.9993 0.0794
Ir 0.0000 0.0000 0.0000
Ir 0.3284 0.6716 0.5000
Ir 0.0000 0.0000 0.5000
Ir 0.3284 0.6716 0.0000
Ir 0.6716 0.3284 0.5000
Ir 0.6716 0.3284 0.0000
CELL_PARAMETERS angstrom
-2.7504 7.0067 1.0355
0.2171 -3.0017 -6.9766
-8.7071 -3.6072 1.2810
```

The formation energy from the elements comes out at -0.666 eV/atom. The calculation puts the volume at 476 Å³ per cell.

=====

3.
# YSbPb2O6

An optimized crystal structure of YSbPb2O6 (PBE, Materials Project). Values from VASP.

Cell and atoms, written as Quantum ESPRESSO input:
```
&SYSTEM
  ibrav = 0, nat = 20, ntyp = 4
/
ATOMIC_SPECIES
O 16.00 O.upf
Sb 121.76 Sb.upf
Pb 207.20 Pb.upf
Y 88.91 Y.upf
ATOMIC_POSITIONS crystal
O 0.8164 0.8897 0.3504
O 0.1836 0.1103 0.6496
O 0.3293 0.3592 0.3842
O 0.3094 0.8944 0.4129
O 0.8897 0.8164 0.8504
O 0.3592 0.3293 0.8842
O 0.6906 0.1056 0.5871
O 0.8944 0.3094 0.9129
O 0.1103 0.1836 0.1496
O 0.1056 0.6906 0.0871
O 0.6707 0.6408 0.6158
O 0.6408 0.6707 0.1158
Sb 0.0000 0.5000 0.0000
Sb 0.5000 0.0000 0.5000
Pb 0.6538 0.0812 0.1273
Pb 0.3462 0.9188 0.8727
Pb 0.9188 0.3462 0.3727
Pb 0.0812 0.6538 0.6273
Y 0.7475 0.2525 0.7500
Y 0.2525 0.7475 0.2500
CELL_PARAMETERS angstrom
-1.9518 3.9783 3.9960
-1.3451 -1.7185 5.5535
8.1352 2.4626 5.8381
```

The formation energy from the elements comes out at -2.293 eV/atom. The calculation puts the volume at 300 Å³ per cell.

=====

4.
# NaTa2Si2PO12

An optimized crystal structure of NaTa2Si2PO12 (PBE, Materials Project). Values from VASP.

Cell and atoms, written as Quantum ESPRESSO input:
```
&SYSTEM
  ibrav = 0, nat = 108, ntyp = 5
/
ATOMIC_SPECIES
O 16.00 O.upf
Na 22.99 Na.upf
P 30.97 P.upf
Ta 180.95 Ta.upf
Si 28.09 Si.upf
ATOMIC_POSITIONS crystal
O 0.1851 0.0228 0.5907
O 0.4694 0.1687 0.5265
O 0.3611 0.4973 0.0760
O 0.8027 0.8353 0.1932
O 0.5184 0.6895 0.2573
O 0.1663 0.9731 0.1929
O 0.6936 0.1670 0.0262
O 0.6966 0.5363 0.5286
O 0.5279 0.8322 0.4740
O 0.0244 0.1848 0.9083
O 0.8313 0.5306 0.0265
O 0.1360 0.5020 0.8598
O 0.1963 0.0310 0.3071
O 0.6366 0.4913 0.9246
O 0.1946 0.1655 0.8073
O 0.0299 0.2029 0.1952
O 0.1608 0.4701 0.2581
O 0.7971 0.9701 0.6952
O 0.3024 0.4704 0.4738
O 0.9690 0.8037 0.8071
O 0.1965 0.1725 0.0915
O 0.4811 0.1713 0.2421
O 0.5027 0.6389 0.5760
O 0.3032 0.8246 0.2579
O 0.6367 0.5051 0.6380
O 0.9772 0.8149 0.0907
O 0.6357 0.1370 0.1404
O 0.8632 0.5058 0.4248
O 0.9699 0.1579 0.5912
O 0.3105 0.4816 0.7573
O 0.0269 0.8337 0.6929
O 0.4954 0.8523 0.0754
O 0.3632 0.8696 0.8619
O 0.4980 0.8640 0.3598
O 0.1678 0.4721 0.9740
O 0.1693 0.9723 0.9094
O 0.3602 0.5003 0.3595
O 0.8360 0.3056 0.2427
O 0.5296 0.6976 0.9738
O 0.4997 0.6398 0.8595
O 0.0277 0.8307 0.4094
O 0.6910 0.5181 0.2417
O 0.4819 0.3090 0.7417
O 0.1616 0.6967 0.4714
O 0.8345 0.8054 0.3073
O 0.9700 0.1718 0.3047
O 0.8152 0.9756 0.4083
O 0.5012 0.1388 0.6406
O 0.8612 0.4988 0.1406
O 0.3577 0.8514 0.5750
O 0.1477 0.5046 0.5754
O 0.1754 0.6968 0.7579
O 0.8421 0.0301 0.0912
O 0.8275 0.8035 0.5915
O 0.1647 0.1973 0.6932
O 0.6944 0.1640 0.7427
O 0.3033 0.8384 0.9714
O 0.8517 0.3562 0.9240
O 0.6438 0.1483 0.4240
O 0.1486 0.6423 0.0750
O 0.4637 0.3034 0.0286
O 0.8630 0.3643 0.6404
O 0.8282 0.0300 0.8047
O 0.8287 0.5189 0.7421
O 0.8144 0.8380 0.9088
O 0.1620 0.1856 0.4088
O 0.4942 0.1368 0.9248
O 0.1304 0.6368 0.3619
O 0.5299 0.8392 0.7581
O 0.5087 0.3634 0.4246
O 0.4949 0.3633 0.1380
O 0.8330 0.3064 0.5262
Na 0.6666 0.3356 0.8333
Na 0.3332 0.6689 0.1666
Na 0.9977 0.0001 0.9999
Na 0.9999 0.0023 0.4999
Na 0.3311 0.6668 0.6666
Na 0.6644 0.3334 0.3333
P 0.0016 0.2868 0.2496
P 0.3349 0.9534 0.9163
P 0.3799 0.3318 0.0829
P 0.6682 0.6201 0.5829
P 0.7132 0.9984 0.7496
P 0.0466 0.6651 0.4163
Ta 0.0028 0.0001 0.3546
Ta 0.3332 0.6639 0.5213
Ta 0.9999 0.9972 0.8546
Ta 0.0084 0.0050 0.6452
Ta 0.3361 0.6668 0.0213
Ta 0.3417 0.6717 0.3119
Ta 0.6751 0.3384 0.9786
Ta 0.6616 0.3249 0.4786
Ta 0.6694 0.3334 0.6880
Ta 0.6666 0.3306 0.1880
Ta 0.3283 0.6583 0.8119
Ta 0.9950 0.9916 0.1452
Si 0.7131 0.7108 0.2505
Si 0.0464 0.3775 0.9171
Si 0.0002 0.7124 0.7500
Si 0.2892 0.2869 0.7505
Si 0.2876 0.9998 0.2500
Si 0.6669 0.0458 0.0833
Si 0.3797 0.0441 0.5838
Si 0.6209 0.6665 0.9167
Si 0.6225 0.9536 0.4171
Si 0.9559 0.6203 0.0838
Si 0.9542 0.3331 0.5833
Si 0.3335 0.3791 0.4167
CELL_PARAMETERS angstrom
-7.1416 3.8005 -3.5072
6.1186 -3.5468 -5.2659
-10.9355 -20.1651 0.6923
```

The formation energy from the elements comes out at -3.157 eV/atom. The calculation puts the volume at 1547 Å³ per cell.

=====

5.
# Rb5BiI10O2

An optimized crystal structure of Rb5BiI10O2 (PBE, Materials Project). Values from VASP.

Cell and atoms, written as Quantum ESPRESSO input:
```
&SYSTEM
  ibrav = 0, nat = 54, ntyp = 4
/
ATOMIC_SPECIES
I 126.90 I.upf
Bi 208.98 Bi.upf
Rb 85.47 Rb.upf
O 16.00 O.upf
ATOMIC_POSITIONS crystal
I 0.8898 0.4602 0.6514
I 0.5406 0.1114 0.3521
I 0.0161 0.7166 0.0161
I 0.4602 0.8898 0.6514
I 0.9997 0.9997 0.9997
I 0.7166 0.0161 0.0161
I 0.3521 0.1114 0.5406
I 0.9834 0.2834 0.9834
I 0.0002 0.0002 0.5004
I 0.5004 0.0002 0.0002
I 0.1984 0.7011 0.7011
I 0.2961 0.2961 0.8014
I 0.5406 0.3521 0.1114
I 0.3521 0.5406 0.1114
I 0.6514 0.8898 0.4602
I 0.6719 0.6719 0.6719
I 0.7011 0.1984 0.7011
I 0.1114 0.3521 0.5406
I 0.0002 0.5004 0.0002
I 0.2961 0.8014 0.2961
I 0.0161 0.0161 0.7166
I 0.2834 0.9834 0.9834
I 0.3377 0.3377 0.3377
I 0.8898 0.6514 0.4602
I 0.9834 0.9834 0.2834
I 0.4602 0.6514 0.8898
I 0.6514 0.4602 0.8898
I 0.7011 0.7011 0.1984
I 0.1114 0.5406 0.3521
I 0.8014 0.2961 0.2961
Bi 0.9961 0.4973 0.4973
Bi 0.4973 0.9961 0.4973
Bi 0.4973 0.4973 0.9961
Rb 0.5001 0.8358 0.1651
Rb 0.5001 0.1651 0.8358
Rb 0.5837 0.5837 0.3681
Rb 0.9843 0.7636 0.7636
Rb 0.1651 0.5001 0.8358
Rb 0.5837 0.3681 0.5837
Rb 0.0198 0.2376 0.2376
Rb 0.3681 0.5837 0.5837
Rb 0.8358 0.1651 0.5001
Rb 0.2376 0.2376 0.0198
Rb 0.7636 0.9843 0.7636
Rb 0.8358 0.5001 0.1651
Rb 0.2376 0.0198 0.2376
Rb 0.1651 0.8358 0.5001
Rb 0.7636 0.7636 0.9843
O 0.2634 0.7373 0.0004
O 0.0004 0.7373 0.2634
O 0.0004 0.2634 0.7373
O 0.2634 0.0004 0.7373
O 0.7373 0.0004 0.2634
O 0.7373 0.2634 0.0004
CELL_PARAMETERS angstrom
-11.8169 0.0975 7.9855
11.1696 -1.3534 8.7649
1.0190 12.6912 -6.4273
```

The formation energy from the elements comes out at -0.718 eV/atom. The calculation puts the volume at 2363 Å³ per cell.

=====

6.
# CoN

An optimized crystal structure of CoN (PBE, Materials Project). Values from VASP.

Cell and atoms, written as Quantum ESPRESSO input:
```
&SYSTEM
  ibrav = 0, nat = 4, ntyp = 2
/
ATOMIC_SPECIES
N 14.01 N.upf
Co 58.93 Co.upf
ATOMIC_POSITIONS crystal
N 0.5001 0.0085 0.7500
N 0.0085 0.5001 0.2500
Co 0.5131 0.4890 0.2500
Co 0.4890 0.5131 0.7500
CELL_PARAMETERS angstrom
0.3090 1.1447 3.1527
-3.1125 -1.0849 0.6935
1.7704 -4.2123 1.3560
```

The formation energy from the elements comes out at 0.844 eV/atom. The calculation puts the volume at 54 Å³ per cell.

=====

7.
# NiRh2S4

An optimized crystal structure of NiRh2S4 (PBE, Materials Project). Values from VASP.

Cell and atoms, written as Quantum ESPRESSO input:
```
&SYSTEM
  ibrav = 0, nat = 14, ntyp = 3
/
ATOMIC_SPECIES
Rh 102.91 Rh.upf
S 32.06 S.upf
Ni 58.69 Ni.upf
ATOMIC_POSITIONS crystal
Rh 0.5000 0.0000 0.0000
Rh 0.0000 0.5000 0.0000
Rh 0.0000 0.0000 0.0000
Rh 0.0000 0.0000 0.5000
S 0.7554 0.7554 0.7554
S 0.2446 0.2446 0.2446
S 0.2446 0.2446 0.7661
S 0.7661 0.2446 0.2446
S 0.2339 0.7554 0.7554
S 0.2446 0.7661 0.2446
S 0.7554 0.2339 0.7554
S 0.7554 0.7554 0.2339
Ni 0.3750 0.3750 0.3750
Ni 0.6250 0.6250 0.6250
CELL_PARAMETERS angstrom
4.3302 4.8443 2.2745
6.6194 -1.5403 1.0965
4.8571 2.5130 -4.1814
```

The formation energy from the elements comes out at -0.738 eV/atom. The calculation puts the volume at 231 Å³ per cell.

=====

8.
# LiTiP4O12

An optimized crystal structure of LiTiP4O12 (PBE, Materials Project). Values from VASP.

Cell and atoms, written as Quantum ESPRESSO input:
```
&SYSTEM
  ibrav = 0, nat = 36, ntyp = 4
/
ATOMIC_SPECIES
Ti 47.87 Ti.upf
Li 6.94 Li.upf
P 30.97 P.upf
O 16.00 O.upf
ATOMIC_POSITIONS crystal
Ti 0.5000 0.0000 0.0000
Ti 0.0000 0.5000 0.5000
Li 0.0412 0.9588 0.2500
Li 0.9588 0.0412 0.7500
P 0.6952 0.6840 0.8044
P 0.2696 0.7426 0.5267
P 0.7304 0.2574 0.4733
P 0.6840 0.6952 0.3044
P 0.3048 0.3160 0.1956
P 0.3160 0.3048 0.6956
P 0.7426 0.2696 0.0267
P 0.2574 0.7304 0.9733
O 0.1906 0.3490 0.3492
O 0.7041 0.8719 0.8265
O 0.3490 0.1906 0.8492
O 0.7763 0.4966 0.9327
O 0.5339 0.3174 0.1619
O 0.4661 0.6826 0.8381
O 0.6826 0.4661 0.3381
O 0.2959 0.1281 0.1735
O 0.3083 0.8073 0.0724
O 0.1281 0.2959 0.6735
O 0.6510 0.8094 0.1508
O 0.4966 0.7763 0.4327
O 0.9098 0.1548 0.0924
O 0.1548 0.9098 0.5924
O 0.8452 0.0902 0.4076
O 0.0902 0.8452 0.9076
O 0.8094 0.6510 0.6508
O 0.3174 0.5339 0.6619
O 0.6917 0.1927 0.9276
O 0.1927 0.6917 0.4276
O 0.8073 0.3083 0.5724
O 0.8719 0.7041 0.3265
O 0.2237 0.5034 0.0673
O 0.5034 0.2237 0.5673
CELL_PARAMETERS angstrom
-6.7320 -0.8772 -2.9264
-1.3110 -7.1529 -1.3308
-6.5504 -4.0419 6.3578
```

The formation energy from the elements comes out at -2.737 eV/atom. The calculation puts the volume at 449 Å³ per cell.